## RbTi3NbO9 (GGA-PBE)

Data for an optimized crystal structure of RbTi3NbO9.

Geometry as POSCAR:
```
RbTi3NbO9
1.0
3.852 0.000 0.000
0.000 6.438 0.000
0.000 0.000 15.174
Rb Ti Nb O
2 6 2 18
Direct
0.000 0.212 0.000
0.500 0.788 0.500
0.000 0.247 0.374
0.000 0.694 0.295
0.000 0.697 0.716
0.500 0.303 0.216
0.500 0.306 0.795
0.500 0.753 0.874
0.000 0.246 0.620
0.500 0.754 0.120
0.000 0.176 0.499
0.000 0.347 0.243
0.000 0.348 0.762
0.000 0.539 0.397
0.000 0.546 0.607
0.000 0.753 0.849
0.000 0.756 0.152
0.000 0.946 0.340
0.000 0.946 0.665
0.500 0.054 0.165
0.500 0.054 0.840
0.500 0.244 0.652
0.500 0.247 0.349
0.500 0.454 0.107
0.500 0.461 0.897
0.500 0.652 0.262
0.500 0.653 0.743
0.500 0.824 0.999
```

## Properties
total energy after the MP2020 corrections: -125.08 eV/f.u.
energy of formation from the pure elements: -3.2699 eV per atom
M_tot: 0.00 μB/f.u.
crystal system: orthorhombic

## Nb4ReO4 (GGA-PBE)

Data for an optimized crystal structure of Nb4ReO4.

Geometry as POSCAR:
```
Nb4ReO4
1.0
5.128 0.000 0.000
1.347 5.307 0.000
1.563 0.488 8.656
Nb Re O
8 2 8
Direct
0.076 0.241 0.374
0.156 0.677 0.207
0.214 0.197 0.042
0.390 0.364 0.640
0.610 0.636 0.360
0.786 0.803 0.958
0.844 0.323 0.793
0.924 0.759 0.626
0.332 0.813 0.808
0.668 0.187 0.192
0.169 0.075 0.630
0.195 0.589 0.985
0.213 0.560 0.449
0.366 0.968 0.242
0.634 0.032 0.758
0.787 0.440 0.551
0.805 0.411 0.015
0.831 0.925 0.370
```

## Properties
total energy after the MP2020 corrections: -85.99 eV/f.u.
energy of formation from the pure elements: -1.4826 eV per atom
M_tot: 0.00 μB/f.u.
crystal system: triclinic

## NbRhO4 (GGA-PBE)

Data for an optimized crystal structure of NbRhO4.

Geometry as POSCAR:
```
NbRhO4
1.0
6.629 0.000 0.000
0.000 6.694 0.000
0.000 0.000 3.146
Nb Rh O
2 2 8
Direct
0.000 0.000 0.000
0.500 0.500 0.000
0.000 0.500 0.500
0.500 0.000 0.500
0.000 0.194 0.500
0.000 0.806 0.500
0.197 0.500 0.000
0.303 0.000 0.000
0.500 0.306 0.500
0.500 0.694 0.500
0.697 0.000 0.000
0.803 0.500 0.000
```

## Properties
total energy after the MP2020 corrections: -50.29 eV/f.u.
energy of formation from the pure elements: -2.1719 eV per atom
M_tot: 0.00 μB/f.u.
crystal system: orthorhombic

## Nb2S3O14 (GGA-PBE)

Data for an optimized crystal structure of Nb2S3O14.

Geometry as POSCAR:
```
Nb2S3O14
1.0
10.086 0.000 0.000
0.000 12.034 0.000
0.000 0.000 9.000
Nb S O
8 12 56
Direct
0.064 0.124 0.000
0.118 0.620 0.034
0.382 0.120 0.534
0.436 0.624 0.500
0.564 0.376 0.000
0.618 0.880 0.034
0.882 0.380 0.534
0.936 0.876 0.500
0.054 0.138 0.425
0.167 0.496 0.645
0.241 0.357 0.105
0.259 0.857 0.605
0.333 0.996 0.145
0.446 0.638 0.925
0.554 0.362 0.425
0.667 0.004 0.645
0.741 0.143 0.105
0.759 0.643 0.605
0.833 0.504 0.145
0.946 0.862 0.925
0.007 0.040 0.511
0.037 0.767 0.956
0.053 0.464 0.538
0.059 0.114 0.268
0.067 0.135 0.809
0.115 0.574 0.757
0.123 0.650 0.220
0.129 0.823 0.536
0.138 0.280 0.041
0.186 0.171 0.485
0.211 0.468 0.036
0.235 0.400 0.697
0.242 0.359 0.263
0.247 0.063 0.035
0.253 0.563 0.535
0.258 0.859 0.763
0.265 0.900 0.197
0.289 0.968 0.536
0.314 0.671 0.985
0.362 0.780 0.541
0.371 0.323 0.036
0.377 0.150 0.720
0.385 0.074 0.257
0.433 0.635 0.309
0.441 0.614 0.768
0.447 0.964 0.038
0.463 0.267 0.456
0.493 0.540 0.011
0.507 0.460 0.511
0.537 0.733 0.956
0.553 0.036 0.538
0.559 0.386 0.268
0.567 0.365 0.809
0.615 0.926 0.757
0.623 0.850 0.220
0.629 0.677 0.536
0.638 0.220 0.041
0.686 0.329 0.485
0.711 0.032 0.036
0.735 0.100 0.697
0.742 0.141 0.263
0.747 0.437 0.035
0.753 0.937 0.535
0.758 0.641 0.763
0.765 0.600 0.197
0.789 0.532 0.536
0.814 0.829 0.985
0.862 0.720 0.541
0.871 0.177 0.036
0.877 0.350 0.720
0.885 0.426 0.257
0.933 0.865 0.309
0.941 0.886 0.768
0.947 0.536 0.038
0.963 0.233 0.456
0.993 0.960 0.011
```

## Properties
total energy after the MP2020 corrections: -143.59 eV/f.u.
energy of formation from the pure elements: -2.1952 eV per atom
M_tot: 0.00 μB/f.u.
crystal system: orthorhombic

M_tot of number 1 (RbTi3NbO9)? 0.00 μB/f.u.

Which value of total energy after the MP2020 corrections does entry 2 give? -85.99 eV/f.u.

Among the records above, which one has the highest energy of formation from the pure elements? Nb4ReO4

M_tot of number 2 (Nb4ReO4)? 0.00 μB/f.u.